meta-GGA r2SCAN Eu2Mo3O12, optimized geometry; symmetry = No. 15
1.0
1.704 -6.561 0.781
3.696 4.197 3.910
-4.741 -2.158 10.439
Eu Mo O
4 6 24
Direct
0.452 0.200 0.090 Eu
0.800 0.548 0.410 Eu
0.548 0.800 0.910 Eu
0.200 0.452 0.590 Eu
0.621 0.379 0.750 Mo
0.379 0.621 0.250 Mo
0.970 0.700 0.068 Mo
0.300 0.030 0.432 Mo
0.030 0.300 0.932 Mo
0.700 0.970 0.568 Mo
0.554 0.473 0.614 O
0.527 0.446 0.886 O
0.446 0.527 0.386 O
0.473 0.554 0.114 O
0.885 0.821 0.953 O
0.179 0.115 0.547 O
0.115 0.179 0.047 O
0.821 0.885 0.453 O
0.266 0.150 0.296 O
0.850 0.734 0.204 O
0.734 0.850 0.704 O
0.150 0.266 0.796 O
0.169 0.594 0.907 O
0.406 0.831 0.593 O
0.831 0.406 0.093 O
0.594 0.169 0.407 O
0.488 0.908 0.221 O
0.092 0.512 0.279 O
0.512 0.092 0.779 O
0.908 0.488 0.721 O
0.851 0.270 0.546 O
0.730 0.149 0.954 O
0.149 0.730 0.454 O
0.270 0.851 0.046 O

=====

meta-GGA r2SCAN TiAu3, optimized geometry; symmetry = No. 139
1.0
-2.101 2.101 3.858
2.101 -2.101 3.858
2.101 2.101 -3.858
Ti Au
1 3
Direct
0.000 0.000 0.000 Ti
0.750 0.250 0.500 Au
0.250 0.750 0.500 Au
0.500 0.500 0.000 Au

=====

meta-GGA r2SCAN RbC8, optimized geometry; symmetry = No. 70
1.0
-0.745 4.748 1.199
-1.314 -3.586 3.154
11.214 -0.174 2.532
Rb C
2 16
Direct
0.875 0.125 0.250 Rb
0.125 0.875 0.750 Rb
0.833 0.417 0.500 C
0.583 0.167 0.000 C
0.167 0.083 0.500 C
0.833 0.917 0.500 C
0.666 0.582 0.498 C
0.085 0.668 0.002 C
0.417 0.833 0.000 C
0.334 0.418 0.502 C
0.668 0.085 0.502 C
0.915 0.332 0.998 C
0.083 0.167 0.000 C
0.167 0.583 0.500 C
0.917 0.833 0.000 C
0.332 0.915 0.498 C
0.582 0.666 0.998 C
0.418 0.334 0.002 C

=====

meta-GGA r2SCAN Nd3Ho, optimized geometry; symmetry = No. 194; excess energy over the best structure of this formula in the dataset = 0 meV/atom
1.0
3.715 -6.434 0.000
3.715 6.434 0.000
0.000 0.000 5.871
Nd Ho
6 2
Direct
0.168 0.336 0.250 Nd
0.664 0.832 0.250 Nd
0.168 0.832 0.250 Nd
0.832 0.664 0.750 Nd
0.336 0.168 0.750 Nd
0.832 0.168 0.750 Nd
0.333 0.667 0.750 Ho
0.667 0.333 0.250 Ho

=====

meta-GGA r2SCAN NpSi2Ir2, optimized geometry; symmetry = No. 129
1.0
-1.331 -3.815 0.819
1.303 -1.250 -3.707
8.793 -2.241 3.845
Np Si Ir
2 4 4
Direct
0.750 0.750 0.257 Np
0.250 0.250 0.743 Np
0.750 0.250 0.500 Si
0.250 0.750 0.500 Si
0.750 0.750 0.870 Si
0.250 0.250 0.130 Si
0.250 0.750 0.000 Ir
0.750 0.250 0.000 Ir
0.750 0.750 0.629 Ir
0.250 0.250 0.371 Ir

=====

meta-GGA r2SCAN Rb2PdC2, optimized geometry; symmetry = No. 164
1.0
2.694 -4.667 0.000
2.694 4.667 0.000
0.000 0.000 5.272
Rb Pd C
2 1 2
Direct
0.333 0.667 0.280 Rb
0.667 0.333 0.720 Rb
0.000 0.000 0.000 Pd
0.000 0.000 0.620 C
0.000 0.000 0.380 C

=====

Number 1: calculated formation energy -2.509 eV per atom, total magnetic moment 0.71 μB/atom. Number 2: calculated formation energy -0.313 eV per atom, total magnetic moment 0.18 μB/atom. Number 3: calculated formation energy -0.054 eV per atom, total magnetic moment 0.00 μB/atom. Number 4: calculated formation energy 0.023 eV per atom, total magnetic moment 0.32 μB/atom. Number 5: calculated formation energy -0.988 eV per atom, total magnetic moment 0.72 μB/atom. Number 6: calculated formation energy -0.037 eV per atom, total magnetic moment 0.00 μB/atom.